A) PAu3: optimized geometry, PBE.

Unit cell a=5.1372 b=5.1372 c=5.1372 alpha=133.28 beta=133.28 gamma=68.21
Closest atoms and distances in Å follow each position.
Sites, in units of the cell vectors:
P (0.0000, 0.0000, 0.0000)  12 Au 2.88-2.94
Au (0.7500, 0.2500, 0.5000)  8 Au 2.88-2.94, 4 P 2.94
Au (0.2500, 0.7500, 0.5000)  8 Au 2.88-2.94, 4 P 2.94
Au (0.5000, 0.5000, 0.0000)  4 P 2.88, 8 Au 2.94

## Properties
- M_tot (μB per cell) = 0.00
- ρ (g/cm3) = 14.63
- crystal system = tetragonal



B) PAu3: optimized geometry, PBE.

Unit cell a=5.9612 b=5.9612 c=4.6371 alpha=90.00 beta=90.00 gamma=120.00
Closest atoms and distances in Å follow each position.
Sites, in units of the cell vectors:
P (0.6667, 0.3333, 0.2500)  12 Au 2.87-2.98
P (0.3333, 0.6667, 0.7500)  12 Au 2.87-2.98
Au (0.8307, 0.1693, 0.7500)  4 P 2.87-2.98, 8 Au 2.90-3.03
Au (0.3387, 0.1693, 0.7500)  4 P 2.87-2.98, 8 Au 2.90-3.03
Au (0.8307, 0.6613, 0.7500)  4 P 2.87-2.98, 8 Au 2.90-3.03
Au (0.1693, 0.8307, 0.2500)  4 P 2.87-2.98, 8 Au 2.90-3.03
Au (0.6613, 0.8307, 0.2500)  4 P 2.87-2.98, 8 Au 2.90-3.03
Au (0.1693, 0.3387, 0.2500)  4 P 2.87-2.98, 8 Au 2.90-3.03

## Properties
- M_tot (μB per cell) = 0.00
- ρ (g/cm3) = 14.47
- crystal system = hexagonal



Quick one: most stable of them? B)



A) Pm3Au: optimized geometry, PBE.

Unit cell a=6.1007 b=6.1007 c=6.1007 alpha=134.63 beta=134.63 gamma=66.11
Closest atoms and distances in Å follow each position.
Sites, in units of the cell vectors:
Pm (0.7500, 0.2500, 0.5000)  8 Pm 3.33-3.47, 4 Au 3.47
Pm (0.2500, 0.7500, 0.5000)  8 Pm 3.33-3.47, 4 Au 3.47
Pm (0.5000, 0.5000, 0.0000)  4 Au 3.33, 8 Pm 3.47
Au (0.0000, 0.0000, 0.0000)  12 Pm 3.33-3.47

## Properties
- M_tot (μB per cell) = 0.02
- ρ (g/cm3) = 9.27
- crystal system = tetragonal



B) Pm3Au: optimized geometry, PBE.

Unit cell a=7.0023 b=7.0023 c=5.3363 alpha=90.00 beta=90.00 gamma=120.00
Closest atoms and distances in Å follow each position.
Sites, in units of the cell vectors:
Pm (0.1765, 0.3530, 0.2500)  4 Au 3.28-3.50, 6 Pm 3.29-3.42
Pm (0.6470, 0.8235, 0.2500)  4 Au 3.28-3.50, 6 Pm 3.29-3.42
Pm (0.1765, 0.8235, 0.2500)  4 Au 3.28-3.50, 6 Pm 3.29-3.42
Pm (0.8235, 0.6470, 0.7500)  4 Au 3.28-3.50, 6 Pm 3.29-3.42
Pm (0.3530, 0.1765, 0.7500)  4 Au 3.28-3.50, 6 Pm 3.29-3.42
Pm (0.8235, 0.1765, 0.7500)  4 Au 3.28-3.50, 6 Pm 3.29-3.42
Au (0.3333, 0.6667, 0.7500)  12 Pm 3.28-3.50
Au (0.6667, 0.3333, 0.2500)  12 Pm 3.28-3.50

## Properties
- ρ (g/cm3) = 9.26
- crystal system = hexagonal



Quick one: most stable of them? B)



A) PmAu3: optimized geometry, PBE.

Unit cell a=4.9740 b=4.9740 c=4.9740 alpha=60.00 beta=60.00 gamma=60.00
Closest atoms and distances in Å follow each position.
Sites, in units of the cell vectors:
Pm (0.0000, 0.0000, 0.0000)  8 Au 3.05
Au (0.2500, 0.2500, 0.2500)  4 Pm 3.05, 4 Au 3.05
Au (0.7500, 0.7500, 0.7500)  4 Au 3.05, 4 Pm 3.05
Au (0.5000, 0.5000, 0.5000)  8 Au 3.05

## Properties
- ρ (g/cm3) = 14.04
- crystal system = cubic



B) PmAu3: optimized geometry, PBE.

Unit cell a=6.4382 b=6.4382 c=4.8430 alpha=90.00 beta=90.00 gamma=120.00
Closest atoms and distances in Å follow each position.
Sites, in units of the cell vectors:
Pm (0.6667, 0.3333, 0.2500)  12 Au 3.12-3.22
Pm (0.3333, 0.6667, 0.7500)  12 Au 3.12-3.22
Au (0.8433, 0.1567, 0.7500)  6 Au 2.99-3.03, 4 Pm 3.12-3.22
Au (0.3133, 0.1567, 0.7500)  6 Au 2.99-3.03, 4 Pm 3.12-3.22
Au (0.8433, 0.6867, 0.7500)  6 Au 2.99-3.03, 4 Pm 3.12-3.22
Au (0.1567, 0.8433, 0.2500)  6 Au 2.99-3.03, 4 Pm 3.12-3.22
Au (0.6867, 0.8433, 0.2500)  6 Au 2.99-3.03, 4 Pm 3.12-3.22
Au (0.1567, 0.3133, 0.2500)  6 Au 2.99-3.03, 4 Pm 3.12-3.22

## Properties
- ρ (g/cm3) = 14.06
- crystal system = hexagonal



Quick one: most stable of them? B)



A) Rb3Sn4Au: optimized geometry, PBE.

Unit cell a=6.7391 b=7.1590 c=13.5031 alpha=90.00 beta=90.00 gamma=90.00
Closest atoms and distances in Å follow each position.
Sites, in units of the cell vectors:
Rb (0.5485, 0.0000, 0.0000)  2 Au 3.69, 4 Sn 3.82-4.00
Rb (0.4515, 0.5000, 0.5000)  2 Au 3.69, 4 Sn 3.82-4.00
Rb (0.8231, 0.5000, 0.7458)  1 Au 3.57, 4 Sn 3.85-3.99
Rb (0.8231, 0.5000, 0.2542)  1 Au 3.57, 4 Sn 3.85-3.99
Rb (0.1769, 0.0000, 0.7542)  1 Au 3.57, 4 Sn 3.85-3.99
Rb (0.1769, 0.0000, 0.2458)  1 Au 3.57, 4 Sn 3.85-3.99
Sn (0.3237, 0.5000, 0.8841)  1 Au 2.86, 3 Sn 2.97-3.13
Sn (0.3237, 0.5000, 0.1159)  1 Au 2.86, 3 Sn 2.97-3.13
Sn (0.0325, 0.2771, 0.0000)  1 Au 2.87, 3 Sn 2.97-3.19
Sn (0.0325, 0.7229, 0.0000)  1 Au 2.87, 3 Sn 2.97-3.19
Sn (0.9675, 0.7771, 0.5000)  1 Au 2.87, 3 Sn 2.97-3.19
Sn (0.9675, 0.2229, 0.5000)  1 Au 2.87, 3 Sn 2.97-3.19
Sn (0.6763, 0.0000, 0.3841)  1 Au 2.86, 3 Sn 2.97-3.13
Sn (0.6763, 0.0000, 0.6159)  1 Au 2.86, 3 Sn 2.97-3.13
Au (0.6789, 0.5000, 0.0000)  4 Sn 2.86-2.87
Au (0.3211, 0.0000, 0.5000)  4 Sn 2.86-2.87

## Properties
- ρ (g/cm3) = 4.73
- crystal system = orthorhombic



B) Rb3Sn4Au: optimized geometry, PBE.

Unit cell a=6.6869 b=7.3205 c=14.8180 alpha=90.00 beta=90.00 gamma=90.00
Closest atoms and distances in Å follow each position.
Sites, in units of the cell vectors:
Rb (0.5128, 0.0000, 0.0000)  6 Sn 3.67-4.09, 2 Au 3.90, 2 Rb 4.04
Rb (0.9326, 0.0000, 0.1961)  3 Sn 3.57-3.70
Rb (0.9326, 0.0000, 0.8039)  3 Sn 3.57-3.70
Rb (0.0674, 0.5000, 0.6961)  3 Sn 3.57-3.70
Rb (0.0674, 0.5000, 0.3039)  3 Sn 3.57-3.70
Rb (0.4872, 0.5000, 0.5000)  6 Sn 3.67-4.09, 2 Au 3.90, 2 Rb 4.04
Sn (0.9359, 0.7887, 0.5000)  1 Au 2.80, 3 Sn 3.01-3.09
Sn (0.6297, 0.0000, 0.3944)  1 Au 2.79, 2 Sn 3.01
Sn (0.6297, 0.0000, 0.6056)  1 Au 2.79, 2 Sn 3.01
Sn (0.9359, 0.2113, 0.5000)  1 Au 2.80, 3 Sn 3.01-3.09
Sn (0.0641, 0.2887, 0.0000)  1 Au 2.80, 3 Sn 3.01-3.09
Sn (0.3703, 0.5000, 0.8944)  1 Au 2.79, 2 Sn 3.01
Sn (0.3703, 0.5000, 0.1056)  1 Au 2.79, 2 Sn 3.01
Sn (0.0641, 0.7113, 0.0000)  1 Au 2.80, 3 Sn 3.01-3.09
Au (0.2842, 0.0000, 0.5000)  4 Sn 2.79-2.80
Au (0.7158, 0.5000, 0.0000)  4 Sn 2.79-2.80

## Properties
- M_tot (μB per cell) = 0.00
- ρ (g/cm3) = 4.25
- crystal system = orthorhombic



Quick one: most stable of them? A)